1.
The following is a r²SCAN calculation of crystalline CsCuS6 at its relaxed geometry, from the Materials Project.

magnetization	0.000	μB per atom
energy relative to the elements	-3.186	eV/f.u.

Unit cell a=7.2907 b=10.8144 c=11.2560 alpha=74.20 beta=84.77 gamma=78.10
Last column: nearest neighbours and their distance in Å.
Fractional coordinates of all 32 atoms:
Cs  0.1708  0.3024  0.4211  13 S 3.66-4.05, 3 Cu 4.02-4.09
Cs  0.3226  0.6975  0.0718  9 S 3.60-3.99, 1 Cu 3.91
Cs  0.6774  0.3025  0.9282  9 S 3.60-3.99, 1 Cu 3.91
Cs  0.8292  0.6976  0.5789  13 S 3.66-4.05, 3 Cu 4.02-4.09
Cu  0.1474  0.5053  0.8703  4 S 2.28-2.33
Cu  0.3987  0.5042  0.6099  4 S 2.30-2.35
Cu  0.6013  0.4958  0.3901  4 S 2.30-2.35
Cu  0.8526  0.4947  0.1297  4 S 2.28-2.33
S  0.1031  0.2091  0.7574  2 S 2.05-2.08
S  0.1523  0.3967  0.0746  1 S 2.07, 1 Cu 2.28
S  0.1614  0.3969  0.7200  1 S 2.08, 1 Cu 2.29
S  0.1655  0.0861  0.0590  2 S 2.06-2.08
S  0.1969  0.7970  0.7306  2 S 2.03-2.09
S  0.2192  0.9304  0.4293  2 S 2.04-2.09
S  0.2852  0.0832  0.8849  2 S 2.05-2.08
S  0.2909  0.2039  0.1285  2 S 2.06-2.07
S  0.3072  0.6207  0.4139  1 S 2.08, 2 Cu 2.30-2.32
S  0.3194  0.9273  0.5983  2 S 2.03-2.09
S  0.3751  0.6145  0.7611  1 S 2.09, 2 Cu 2.30-2.31
S  0.4036  0.7965  0.3593  2 S 2.04-2.08
S  0.5964  0.2035  0.6407  2 S 2.04-2.08
S  0.6249  0.3855  0.2389  1 S 2.09, 2 Cu 2.30-2.31
S  0.6806  0.0727  0.4017  2 S 2.03-2.09
S  0.6928  0.3793  0.5861  1 S 2.08, 2 Cu 2.30-2.32
S  0.7091  0.7961  0.8715  2 S 2.06-2.07
S  0.7148  0.9168  0.1151  2 S 2.05-2.08
S  0.7808  0.0696  0.5707  2 S 2.04-2.09
S  0.8031  0.2030  0.2694  2 S 2.03-2.09
S  0.8345  0.9139  0.9410  2 S 2.06-2.08
S  0.8386  0.6031  0.2800  1 S 2.08, 1 Cu 2.29
S  0.8477  0.6033  0.9254  1 S 2.07, 1 Cu 2.28
S  0.8969  0.7909  0.2426  2 S 2.05-2.08

---

2.
The following is a r²SCAN calculation of crystalline CsDyO2 at its relaxed geometry, from the Materials Project.

magnetization	0.000	μB per atom
energy relative to the elements	-11.671	eV/f.u.

Unit cell a=3.5295 b=3.5295 c=13.6673 alpha=90.00 beta=90.00 gamma=120.00
Last column: nearest neighbours and their distance in Å.
Fractional coordinates of all 8 atoms:
Cs  0.3333  0.6667  0.2500  6 O 3.07
Cs  0.6667  0.3333  0.7500  6 O 3.07
Dy  0.0000  0.0000  0.0000  6 O 2.33
Dy  0.0000  0.0000  0.5000  6 O 2.33
O  0.3333  0.6667  0.5822  3 Dy 2.33
O  0.3333  0.6667  0.9178  3 Dy 2.33
O  0.6667  0.3333  0.0822  3 Dy 2.33
O  0.6667  0.3333  0.4178  3 Dy 2.33

---

3.
The following is a r²SCAN calculation of crystalline CsDyS2 at its relaxed geometry, from the Materials Project.

magnetization	0.000	μB per atom
energy relative to the elements	-8.484	eV/f.u.

Unit cell a=4.0755 b=4.0755 c=16.1175 alpha=90.00 beta=90.00 gamma=120.00
Last column: nearest neighbours and their distance in Å.
Fractional coordinates of all 8 atoms:
Cs  0.3333  0.6667  0.2500  6 S 3.48
Cs  0.6667  0.3333  0.7500  6 S 3.48
Dy  0.0000  0.0000  0.0000  6 S 2.77
Dy  0.0000  0.0000  0.5000  6 S 2.77
S  0.3333  0.6667  0.5909  3 Dy 2.77
S  0.3333  0.6667  0.9091  3 Dy 2.77
S  0.6667  0.3333  0.0909  3 Dy 2.77
S  0.6667  0.3333  0.4091  3 Dy 2.77

---

4.
The following is a r²SCAN calculation of crystalline CsDyS2 at its relaxed geometry, from the Materials Project.

magnetization	0.000	μB per atom
energy relative to the elements	-8.477	eV/f.u.

Unit cell a=4.0748 b=4.0748 c=24.2325 alpha=90.00 beta=90.00 gamma=120.00
Last column: nearest neighbours and their distance in Å.
Fractional coordinates of all 12 atoms:
Cs  0.0000  0.0000  0.0000  6 S 3.49
Cs  0.3333  0.6667  0.6667  6 S 3.49
Cs  0.6667  0.3333  0.3333  6 S 3.49
Dy  0.0000  0.0000  0.5000  6 S 2.77
Dy  0.3333  0.6667  0.1667  6 S 2.77
Dy  0.6667  0.3333  0.8333  6 S 2.77
S  0.0000  0.0000  0.2271  3 Dy 2.77
S  0.0000  0.0000  0.7729  3 Dy 2.77
S  0.3333  0.6667  0.4395  3 Dy 2.77
S  0.3333  0.6667  0.8938  3 Dy 2.77
S  0.6667  0.3333  0.1062  3 Dy 2.77
S  0.6667  0.3333  0.5605  3 Dy 2.77

---

5.
The following is a r²SCAN calculation of crystalline CsEr3Se5 at its relaxed geometry, from the Materials Project.

magnetization	0.000	μB per atom
energy relative to the elements	-19.152	eV/f.u.

Unit cell a=21.9936 b=4.1002 c=12.3356 alpha=90.00 beta=90.00 gamma=90.00
Last column: nearest neighbours and their distance in Å.
Fractional coordinates of all 36 atoms:
Cs  0.0920  0.2500  0.1465  7 Se 3.66-3.86, 2 Cs 4.10
Cs  0.4080  0.7500  0.6465  7 Se 3.66-3.86, 2 Cs 4.10
Cs  0.5920  0.2500  0.3535  7 Se 3.66-3.86, 2 Cs 4.10
Cs  0.9080  0.7500  0.8535  7 Se 3.66-3.86, 2 Cs 4.10
Er  0.0539  0.7500  0.6083  6 Se 2.79-2.88
Er  0.1747  0.2500  0.7975  6 Se 2.78-2.95
Er  0.1980  0.2500  0.4569  6 Se 2.77-2.94
Er  0.3020  0.7500  0.9569  6 Se 2.77-2.94
Er  0.3253  0.7500  0.2975  6 Se 2.78-2.95
Er  0.4461  0.2500  0.1083  6 Se 2.79-2.88
Er  0.5539  0.7500  0.8917  6 Se 2.79-2.88
Er  0.6747  0.2500  0.7025  6 Se 2.78-2.95
Er  0.6980  0.2500  0.0431  6 Se 2.77-2.94
Er  0.8020  0.7500  0.5431  6 Se 2.77-2.94
Er  0.8253  0.7500  0.2025  6 Se 2.78-2.95
Er  0.9461  0.2500  0.3917  6 Se 2.79-2.88
Se  0.0478  0.2500  0.7643  3 Er 2.81-2.82
Se  0.0690  0.2500  0.4485  4 Er 2.79-2.86
Se  0.1747  0.7500  0.9495  3 Er 2.78-2.80
Se  0.1845  0.7500  0.6260  5 Er 2.88-2.95
Se  0.1981  0.7500  0.3061  3 Er 2.77-2.80
Se  0.3019  0.2500  0.8061  3 Er 2.77-2.80
Se  0.3155  0.2500  0.1260  5 Er 2.88-2.95
Se  0.3253  0.2500  0.4495  3 Er 2.78-2.80
Se  0.4310  0.7500  0.9485  4 Er 2.79-2.86
Se  0.4522  0.7500  0.2643  3 Er 2.81-2.82
Se  0.5478  0.2500  0.7357  3 Er 2.81-2.82
Se  0.5690  0.2500  0.0515  4 Er 2.79-2.86
Se  0.6747  0.7500  0.5505  3 Er 2.78-2.80
Se  0.6845  0.7500  0.8740  5 Er 2.88-2.95
Se  0.6981  0.7500  0.1939  3 Er 2.77-2.80
Se  0.8019  0.2500  0.6939  3 Er 2.77-2.80
Se  0.8155  0.2500  0.3740  5 Er 2.88-2.95
Se  0.8253  0.2500  0.0505  3 Er 2.78-2.80
Se  0.9310  0.7500  0.5515  4 Er 2.79-2.86
Se  0.9522  0.7500  0.2357  3 Er 2.81-2.82

---

6.
The following is a r²SCAN calculation of crystalline Cs3EuF6 at its relaxed geometry, from the Materials Project.

magnetization	0.600	μB per atom
energy relative to the elements	-32.152	eV/f.u.

Unit cell a=7.1837 b=7.1837 c=7.1837 alpha=121.86 beta=119.87 gamma=88.52
Last column: nearest neighbours and their distance in Å.
Fractional coordinates of all 10 atoms:
Cs  0.0000  0.0000  0.0000  2 F 2.84
Cs  0.2461  0.7461  0.5000  4 F 2.88-2.93
Cs  0.7539  0.2539  0.5000  4 F 2.88-2.93
Eu  0.5000  0.5000  0.0000  6 F 2.16-2.30
F  0.1905  0.5000  0.6905  1 Eu 2.23
F  0.2762  0.2762  0.0000  1 Eu 2.30
F  0.5000  0.1902  0.6902  1 Eu 2.16
F  0.5000  0.8098  0.3098  1 Eu 2.16
F  0.7238  0.7238  0.0000  1 Eu 2.30
F  0.8095  0.5000  0.3095  1 Eu 2.23

---

7.
The following is a r²SCAN calculation of crystalline Cs3EuF6 at its relaxed geometry, from the Materials Project.

magnetization	0.600	μB per atom
energy relative to the elements	-32.040	eV/f.u.

Unit cell a=7.1766 b=7.1766 c=7.1766 alpha=121.02 beta=121.02 gamma=88.25
Last column: nearest neighbours and their distance in Å.
Fractional coordinates of all 10 atoms:
Cs  0.0000  0.0000  0.0000  2 F 2.85
Cs  0.2500  0.7500  0.5000  4 F 2.90
Cs  0.7500  0.2500  0.5000  4 F 2.90
Eu  0.5000  0.5000  0.0000  6 F 2.20-2.30
F  0.1887  0.5000  0.6887  1 Eu 2.20
F  0.2765  0.2765  0.0000  1 Eu 2.30
F  0.5000  0.1887  0.6887  1 Eu 2.20
F  0.5000  0.8113  0.3113  1 Eu 2.20
F  0.7235  0.7235  0.0000  1 Eu 2.30
F  0.8113  0.5000  0.3113  1 Eu 2.20

---

8.
The following is a r²SCAN calculation of crystalline CsEuW2O8 at its relaxed geometry, from the Materials Project.

magnetization	0.500	μB per atom
energy relative to the elements	-30.701	eV/f.u.

Unit cell a=7.6503 b=7.6503 c=7.6262 alpha=117.33 beta=117.33 gamma=89.45
Last column: nearest neighbours and their distance in Å.
Fractional coordinates of all 24 atoms:
Cs  0.1978  0.8022  0.7500  10 O 2.99-3.13
Cs  0.8022  0.1978  0.2500  10 O 2.99-3.13
Eu  0.2274  0.7726  0.2500  6 O 2.36-2.44
Eu  0.7726  0.2274  0.7500  6 O 2.36-2.44
W  0.3034  0.3113  0.2746  4 O 1.80-1.99
W  0.3113  0.3034  0.7746  4 O 1.80-1.99
W  0.6887  0.6966  0.2254  4 O 1.80-1.99
W  0.6966  0.6887  0.7254  4 O 1.80-1.99
O  0.0565  0.2145  0.7009  1 W 1.80
O  0.0701  0.3815  0.1359  1 W 1.83
O  0.2145  0.0565  0.2009  1 W 1.80
O  0.2510  0.3794  0.5671  1 W 1.80
O  0.3729  0.5835  0.0309  2 W 1.99-2.09
O  0.3794  0.2510  0.0671  1 W 1.80
O  0.3815  0.0701  0.6359  1 W 1.83
O  0.4165  0.6271  0.4691  2 W 1.99-2.09
O  0.5835  0.3729  0.5309  2 W 1.99-2.09
O  0.6185  0.9299  0.3641  1 W 1.83
O  0.6206  0.7490  0.9329  1 W 1.80
O  0.6271  0.4165  0.9691  2 W 1.99-2.09
O  0.7490  0.6206  0.4329  1 W 1.80
O  0.7855  0.9435  0.7991  1 W 1.80
O  0.9299  0.6185  0.8641  1 W 1.83
O  0.9435  0.7855  0.2991  1 W 1.80

---

9.
The following is a r²SCAN calculation of crystalline CsEuSiS4 at its relaxed geometry, from the Materials Project.

magnetization	0.857	μB per atom
energy relative to the elements	-10.351	eV/f.u.

Unit cell a=6.5589 b=6.8581 c=17.7974 alpha=90.00 beta=90.00 gamma=90.00
Last column: nearest neighbours and their distance in Å.
Fractional coordinates of all 28 atoms:
Cs  0.0110  0.0076  0.4670  8 S 3.51-3.84
Cs  0.4890  0.9924  0.9670  8 S 3.51-3.84
Cs  0.5110  0.4924  0.5330  8 S 3.51-3.84
Cs  0.9890  0.5076  0.0330  8 S 3.51-3.84
Eu  0.2122  0.0321  0.7253  7 S 2.86-3.01
Eu  0.2878  0.9679  0.2253  7 S 2.86-3.01
Eu  0.7122  0.4679  0.2747  7 S 2.86-3.01
Eu  0.7878  0.5321  0.7747  7 S 2.86-3.01
Si  0.2152  0.5184  0.3346  4 S 2.10-2.13
Si  0.2848  0.4816  0.8346  4 S 2.10-2.13
Si  0.7152  0.9816  0.6654  4 S 2.10-2.13
Si  0.7848  0.0184  0.1654  4 S 2.10-2.13
S  0.0389  0.0152  0.0932  1 Si 2.10
S  0.0699  0.2565  0.8558  1 Si 2.12
S  0.1107  0.5713  0.2235  1 Si 2.12
S  0.1153  0.7445  0.8447  1 Si 2.13
S  0.3847  0.2555  0.3447  1 Si 2.13
S  0.3893  0.4287  0.7235  1 Si 2.12
S  0.4301  0.7435  0.3558  1 Si 2.12
S  0.4611  0.9848  0.5932  1 Si 2.10
S  0.5389  0.4848  0.9068  1 Si 2.10
S  0.5699  0.2435  0.1442  1 Si 2.12
S  0.6107  0.9287  0.7765  1 Si 2.12
S  0.6153  0.7555  0.1553  1 Si 2.13
S  0.8847  0.2445  0.6553  1 Si 2.13
S  0.8893  0.0713  0.2765  1 Si 2.12
S  0.9301  0.7565  0.6442  1 Si 2.12
S  0.9611  0.5152  0.4068  1 Si 2.10

---

10.
The following is a r²SCAN calculation of crystalline CsF at its relaxed geometry, from the Materials Project.

magnetization	0.000	μB per atom
energy relative to the elements	-5.667	eV/f.u.

Unit cell a=6.0123 b=6.0123 c=6.0123 alpha=90.00 beta=90.00 gamma=90.00
Last column: nearest neighbours and their distance in Å.
Fractional coordinates of all 8 atoms:
Cs  0.0000  0.0000  0.0000  6 F 3.01
Cs  0.0000  0.5000  0.5000  6 F 3.01
Cs  0.5000  0.0000  0.5000  6 F 3.01
Cs  0.5000  0.5000  0.0000  6 F 3.01
F  0.0000  0.0000  0.5000  6 Cs 3.01
F  0.0000  0.5000  0.0000  6 Cs 3.01
F  0.5000  0.0000  0.0000  6 Cs 3.01
F  0.5000  0.5000  0.5000  6 Cs 3.01

---

11.
The following is a r²SCAN calculation of crystalline CsFeF3 at its relaxed geometry, from the Materials Project.

magnetization	0.800	μB per atom
energy relative to the elements	-13.159	eV/f.u.

Unit cell a=6.1341 b=6.1345 c=14.8088 alpha=90.69 beta=90.70 gamma=119.41
Last column: nearest neighbours and their distance in Å.
Fractional coordinates of all 30 atoms:
Cs  0.0000  0.0000  0.0000  12 F 3.08-3.15
Cs  0.0026  0.9967  0.4999  12 F 3.08-3.14
Cs  0.3336  0.6614  0.6538  12 F 3.00-3.15
Cs  0.3375  0.6672  0.3461  12 F 3.01-3.15
Cs  0.6636  0.3298  0.1540  12 F 3.01-3.15
Cs  0.6711  0.3359  0.8458  12 F 3.01-3.15
Fe  0.0005  0.9982  0.2501  6 F 2.02-2.20
Fe  0.0024  0.9990  0.7498  6 F 2.02-2.20
Fe  0.3328  0.6612  0.0974  6 F 1.98-2.19
Fe  0.3391  0.6666  0.9024  6 F 1.98-2.19
Fe  0.6647  0.3306  0.5974  6 F 1.98-2.19
Fe  0.6687  0.3355  0.4024  6 F 1.98-2.19
F  0.0516  0.5259  0.0056  2 Fe 2.01-2.19
F  0.1564  0.8371  0.1745  2 Fe 2.02-2.19
F  0.1636  0.3313  0.1736  2 Fe 2.11-2.13
F  0.1638  0.8433  0.8256  2 Fe 2.02-2.18
F  0.1742  0.3482  0.8311  2 Fe 1.98-2.20
F  0.3349  0.1616  0.6733  2 Fe 2.11-2.13
F  0.3497  0.1702  0.3314  2 Fe 1.98-2.20
F  0.4740  0.9482  0.9941  2 Fe 2.01-2.19
F  0.4820  0.5180  0.0000  2 Fe 2.12
F  0.5207  0.4790  0.5000  2 Fe 2.12
F  0.5287  0.0486  0.5058  2 Fe 2.01-2.19
F  0.6510  0.8268  0.1687  2 Fe 1.98-2.20
F  0.6695  0.8355  0.8263  2 Fe 2.11-2.13
F  0.8310  0.6493  0.6683  2 Fe 1.98-2.20
F  0.8372  0.6657  0.3264  2 Fe 2.11-2.13
F  0.8413  0.1547  0.6742  2 Fe 2.02-2.19
F  0.8445  0.1595  0.3258  2 Fe 2.02-2.18
F  0.9509  0.4706  0.4939  2 Fe 2.01-2.19

---

12.
The following is a r²SCAN calculation of crystalline CsFe2F6 at its relaxed geometry, from the Materials Project.

magnetization	1.000	μB per atom
energy relative to the elements	-24.307	eV/f.u.

Unit cell a=7.2051 b=7.4473 c=10.3444 alpha=90.00 beta=90.00 gamma=90.00
Last column: nearest neighbours and their distance in Å.
Fractional coordinates of all 36 atoms:
Cs  0.0095  0.2500  0.1298  11 F 3.13-3.42
Cs  0.4905  0.7500  0.6298  11 F 3.13-3.42
Cs  0.5095  0.2500  0.3702  11 F 3.13-3.42
Cs  0.9905  0.7500  0.8702  11 F 3.13-3.42
Fe  0.0000  0.0000  0.5000  6 F 1.97-1.99
Fe  0.0000  0.5000  0.5000  6 F 1.97-1.99
Fe  0.2211  0.2500  0.7629  6 F 1.97-2.02
Fe  0.2789  0.7500  0.2629  6 F 1.97-2.02
Fe  0.5000  0.0000  0.0000  6 F 1.97-1.99
Fe  0.5000  0.5000  0.0000  6 F 1.97-1.99
Fe  0.7211  0.2500  0.7371  6 F 1.97-2.02
Fe  0.7789  0.7500  0.2371  6 F 1.97-2.02
F  0.0400  0.7500  0.1704  2 Fe 1.97-2.00
F  0.0465  0.2500  0.4435  2 Fe 1.98
F  0.1548  0.0340  0.6574  2 Fe 1.99-2.00
F  0.1548  0.4660  0.6574  2 Fe 1.99-2.00
F  0.2231  0.5680  0.4024  2 Fe 1.97-2.02
F  0.2231  0.9320  0.4024  2 Fe 1.97-2.02
F  0.2769  0.0680  0.9024  2 Fe 1.97-2.02
F  0.2769  0.4320  0.9024  2 Fe 1.97-2.02
F  0.3452  0.5340  0.1574  2 Fe 1.99-2.00
F  0.3452  0.9660  0.1574  2 Fe 1.99-2.00
F  0.4535  0.7500  0.9435  2 Fe 1.98
F  0.4600  0.2500  0.6704  2 Fe 1.97-2.00
F  0.5400  0.7500  0.3296  2 Fe 1.97-2.00
F  0.5465  0.2500  0.0565  2 Fe 1.98
F  0.6548  0.0340  0.8426  2 Fe 1.99-2.00
F  0.6548  0.4660  0.8426  2 Fe 1.99-2.00
F  0.7231  0.5680  0.0976  2 Fe 1.97-2.02
F  0.7231  0.9320  0.0976  2 Fe 1.97-2.02
F  0.7769  0.0680  0.5976  2 Fe 1.97-2.02
F  0.7769  0.4320  0.5976  2 Fe 1.97-2.02
F  0.8452  0.5340  0.3426  2 Fe 1.99-2.00
F  0.8452  0.9660  0.3426  2 Fe 1.99-2.00
F  0.9535  0.7500  0.5565  2 Fe 1.98
F  0.9600  0.2500  0.8296  2 Fe 1.97-2.00